Version P
Computed, not measured: a geometry-optimized SrCa7TiMn7O24 structure at the PBE+U level of DFT.

Cell: 10.869 15.237 10.737 Å, 90.01 90.02 89.99°
Positions (direct):
1 O 0.854 0.771 0.647
2 Ca 0.766 0.125 0.253
3 O 0.261 0.874 0.461
4 O 0.354 0.770 0.647
5 Ca 0.478 0.375 0.506
6 O 0.760 0.875 0.960
7 Ca 0.227 0.874 0.745
8 O 0.854 0.771 0.147
9 O 0.146 0.522 0.852
10 O 0.511 0.874 0.290
11 O 0.993 0.125 0.218
12 O 0.896 0.520 0.897
13 O 0.740 0.625 0.540
14 Ca 0.728 0.875 0.246
15 O 0.758 0.375 0.961
16 O 0.141 0.237 0.362
17 Ca 0.729 0.375 0.247
18 O 0.143 0.018 0.852
19 Mn 0.500 0.501 0.748
20 O 0.398 0.232 0.399
21 Mn 0.250 0.749 0.998
22 O 0.362 0.263 0.141
23 O 0.886 0.235 0.392
24 Sr 0.485 0.377 0.002
25 O 0.511 0.375 0.779
26 Ti 0.996 0.252 0.250
27 Mn 0.249 0.502 0.997
28 Mn 0.250 0.501 0.502
29 Ca 0.772 0.125 0.756
30 O 0.240 0.124 0.025
31 Mn 0.501 0.998 0.252
32 Mn 0.000 0.250 0.750
33 O 0.358 0.980 0.146
34 O 0.103 0.480 0.604
35 Sr 0.268 0.124 0.255
36 O 0.490 0.626 0.212
37 O 0.741 0.125 0.540
38 Ca 0.523 0.625 0.996
39 O 0.240 0.625 0.540
40 Ti 0.997 0.997 0.250
41 Mn 0.750 0.750 0.500
42 O 0.759 0.376 0.462
43 O 0.646 0.521 0.354
44 O 0.604 0.481 0.602
45 Mn 0.750 0.250 0.000
46 O 0.007 0.871 0.285
47 O 0.145 0.522 0.355
48 O 0.854 0.480 0.647
49 O 0.259 0.872 0.963
50 O 0.896 0.019 0.898
51 O 0.146 0.729 0.853
52 Ca 0.728 0.375 0.745
53 Mn 0.502 0.000 0.750
54 O 0.143 0.232 0.852
55 O 0.354 0.481 0.648
56 O 0.646 0.729 0.853
57 O 0.604 0.979 0.603
58 Mn 0.752 0.501 0.001
59 Sr 0.015 0.125 0.498
60 Ti 0.249 0.250 0.997
61 O 0.989 0.625 0.710
62 O 0.603 0.979 0.102
63 Mn 0.750 0.750 0.000
64 O 0.247 0.125 0.538
65 O 0.490 0.625 0.710
66 O 0.395 0.520 0.397
67 O 0.646 0.020 0.354
68 O 0.001 0.379 0.285
69 O 0.646 0.729 0.353
70 Ca 0.977 0.376 0.004
71 Ca 0.524 0.125 0.995
72 O 0.510 0.376 0.288
73 O 0.855 0.270 0.646
74 Ca 0.977 0.874 0.004
75 Mn 0.000 0.750 0.750
76 Ca 0.229 0.873 0.246
77 O 0.886 0.014 0.392
78 O 0.604 0.770 0.603
79 Mn 0.501 0.750 0.750
80 O 0.853 0.980 0.142
81 Ca 0.273 0.625 0.754
82 O 0.399 0.018 0.399
83 Mn 0.000 0.999 0.751
84 Ca 0.023 0.625 0.996
85 Ca 0.727 0.875 0.745
86 O 0.354 0.269 0.649
87 Mn 0.748 0.999 0.999
88 O 0.647 0.021 0.852
89 Ca 0.274 0.125 0.754
90 O 0.896 0.729 0.397
91 O 0.854 0.980 0.646
92 O 0.397 0.018 0.892
93 Ca 0.977 0.376 0.505
94 O 0.239 0.626 0.039
95 O 0.604 0.270 0.602
96 Mn 0.251 0.750 0.500
97 Sr 0.234 0.377 0.247
98 O 0.760 0.874 0.461
99 O 0.854 0.269 0.142
100 O 0.498 0.124 0.212
101 Mn 0.502 0.502 0.251
102 Mn 0.500 0.750 0.250
103 O 0.395 0.230 0.889
104 O 0.396 0.729 0.397
105 Mn 0.000 0.749 0.251
106 Ca 0.023 0.625 0.496
107 Mn 0.748 0.999 0.501
108 O 0.010 0.375 0.789
109 O 0.609 0.266 0.107
110 Ca 0.479 0.873 0.004
111 Mn 0.000 0.500 0.750
112 Ca 0.977 0.874 0.504
113 Mn 0.750 0.501 0.500
114 Mn 0.502 0.249 0.252
115 O 0.741 0.626 0.039
116 O 0.147 0.729 0.353
117 O 0.895 0.522 0.398
118 O 0.604 0.770 0.103
119 O 0.741 0.124 0.038
120 O 0.107 0.981 0.106
121 O 0.253 0.378 0.965
122 Mn 0.252 0.999 0.502
123 O 0.104 0.770 0.603
124 Ti 0.250 0.998 0.998
125 O 0.355 0.770 0.146
126 Mn 0.252 0.250 0.503
127 O 0.105 0.267 0.105
128 O 0.896 0.231 0.898
129 O 0.896 0.730 0.897
130 O 0.854 0.480 0.146
131 Mn 0.501 0.249 0.748
132 O 0.354 0.979 0.648
133 O 0.358 0.487 0.143
134 Ca 0.523 0.625 0.495
135 O 0.646 0.230 0.355
136 O 0.102 0.482 0.102
137 O 0.988 0.125 0.720
138 O 0.491 0.125 0.709
139 Ca 0.478 0.875 0.506
140 O 0.511 0.875 0.790
141 O 0.105 0.978 0.605
142 O 0.397 0.729 0.897
143 Ca 0.227 0.376 0.744
144 Ca 0.273 0.625 0.254
145 Ca 0.523 0.125 0.496
146 O 0.395 0.523 0.894
147 O 0.610 0.485 0.109
148 O 0.142 0.012 0.360
149 O 0.645 0.520 0.854
150 Ca 0.773 0.625 0.254
151 Ca 0.773 0.625 0.755
152 O 0.010 0.875 0.790
153 O 0.105 0.771 0.103
154 O 0.646 0.230 0.853
155 O 0.261 0.376 0.471
156 O 0.989 0.625 0.210
157 Mn 0.748 0.250 0.502
158 Ca 0.018 0.125 0.994
159 O 0.105 0.271 0.606
160 Mn 0.999 0.502 0.251

Properties
Magnetic moment ... 84.0 μB per cell
SG ... P1

Version Q
Computed, not measured: a geometry-optimized SrCa7TiMn7O24 structure at the PBE+U level of DFT.

Cell: 7.647 7.647 7.647 Å, 89.99 89.99 89.99°
Positions (direct):
1 Mn 0.999 0.999 0.501
2 Mn 0.501 0.000 0.501
3 Mn 0.000 0.501 0.501
4 O 0.750 0.500 0.000
5 O 0.501 0.753 0.501
6 Mn 0.501 0.999 0.999
7 O 0.997 0.503 0.250
8 O 0.250 0.997 0.503
9 O 0.500 0.000 0.750
10 Ca 0.752 0.248 0.248
11 O 0.503 0.250 0.997
12 Ca 0.248 0.752 0.248
13 Ca 0.248 0.752 0.752
14 O 0.000 0.750 0.500
15 O 0.750 0.000 0.500
16 O 0.503 0.997 0.250
17 O 0.997 0.250 0.503
18 O 0.997 0.997 0.250
19 O 0.750 0.000 0.000
20 Mn 0.501 0.501 0.000
21 O 0.000 0.000 0.750
22 O 0.250 0.997 0.997
23 Ca 0.248 0.248 0.752
24 O 0.503 0.247 0.503
25 O 0.250 0.503 0.997
26 O 0.501 0.501 0.753
27 O 0.753 0.501 0.501
28 O 0.000 0.500 0.750
29 Ca 0.752 0.752 0.752
30 Sr 0.248 0.248 0.248
31 O 0.247 0.503 0.503
32 Mn 0.999 0.999 0.999
33 Ca 0.752 0.248 0.752
34 Mn 0.999 0.501 0.999
35 O 0.000 0.750 0.000
36 O 0.997 0.250 0.997
37 Ca 0.752 0.752 0.248
38 Ti 0.501 0.501 0.501
39 O 0.503 0.503 0.247
40 O 0.500 0.750 0.000

Properties
Magnetic moment ... 21.4 μB per cell
SG ... R3m

Relative calculated energies, zero for the most stable structure, unit meV per atom: version P 0; version Q 50.

Version P
Computed, not measured: a geometry-optimized SrCa7TiMn7O21 structure at the PBE+U level of DFT.

Cell: 7.797 7.780 7.783 Å, 90.26 89.49 89.83°
Positions (direct):
1 O 0.502 0.748 0.047
2 Ca 0.290 0.241 0.727
3 O 0.507 0.250 0.933
4 Mn 0.987 0.502 0.018
5 Mn 0.006 0.501 0.511
6 O 0.750 0.531 0.467
7 Ca 0.290 0.750 0.712
8 O 0.463 0.732 0.432
9 O 0.526 0.949 0.733
10 O 0.905 0.011 0.772
11 O 0.238 0.990 0.943
12 Mn 0.504 0.502 0.986
13 O 0.535 0.556 0.745
14 Ca 0.762 0.751 0.700
15 O 0.969 0.189 0.099
16 O 0.043 0.753 0.529
17 Mn 0.506 0.503 0.509
18 O 0.252 0.502 0.997
19 O 0.732 0.480 0.074
20 Mn 0.501 0.999 0.983
21 O 0.950 0.498 0.770
22 O 0.514 0.057 0.226
23 O 0.260 0.466 0.535
24 O 0.970 0.249 0.503
25 Mn 0.001 0.000 0.514
26 Ca 0.755 0.258 0.289
27 O 0.044 0.506 0.266
28 Ca 0.725 0.736 0.250
29 Mn 0.511 0.997 0.477
30 O 0.962 0.789 0.079
31 O 0.538 0.261 0.522
32 O 0.253 0.031 0.500
33 Ca 0.238 0.733 0.234
34 Ti 0.009 0.994 0.978
35 O 0.761 0.961 0.447
36 Sr 0.243 0.253 0.256
37 Ca 0.749 0.271 0.739

Properties
Magnetic moment ... 27.0 μB per cell
SG ... P1

Version Q
Computed, not measured: a geometry-optimized SrCa7TiMn7O21 structure at the PBE+U level of DFT.

Cell: 11.093 15.523 11.068 Å, 90.20 91.22 90.41°
Positions (direct):
1 O 0.843 0.981 0.642
2 Mn 0.998 0.748 0.264
3 O 0.900 0.733 0.903
4 Ca 0.738 0.385 0.755
5 Mn 0.755 0.746 0.001
6 O 0.178 0.005 0.868
7 O 0.601 0.487 0.610
8 O 0.893 0.012 0.897
9 Mn 0.751 0.747 0.505
10 Ti 0.237 0.985 0.019
11 Mn 0.246 0.749 0.500
12 Ca 0.756 0.385 0.250
13 O 0.628 0.033 0.835
14 O 0.098 0.771 0.609
15 O 0.741 0.377 0.464
16 O 0.286 0.374 0.482
17 O 0.618 0.493 0.110
18 O 0.597 0.761 0.112
19 Ti 0.984 0.254 0.274
20 O 0.912 0.240 0.924
21 Mn 0.240 0.999 0.512
22 O 0.605 0.763 0.600
23 O 0.232 0.128 0.528
24 O 0.225 0.624 0.523
25 O 0.892 0.518 0.896
26 O 0.278 0.880 0.478
27 Ca 0.781 0.125 0.751
28 Ca 0.966 0.390 0.004
29 O 0.744 0.873 0.963
30 O 0.006 0.873 0.794
31 Mn 0.746 0.999 0.991
32 Mn 0.522 0.256 0.254
33 O 0.482 0.378 0.289
34 Mn 0.496 0.502 0.747
35 O 0.149 0.526 0.863
36 Ca 0.239 0.624 0.265
37 Ti 0.987 0.990 0.261
38 O 0.885 0.009 0.389
39 Mn 0.746 0.251 0.506
40 O 0.350 0.497 0.644
41 Ca 0.235 0.407 0.765
42 O 0.490 0.625 0.720
43 O 0.145 0.738 0.849
44 Mn 0.003 0.502 0.252
45 O 0.655 0.220 0.344
46 Ca 0.015 0.621 0.994
47 Ca 0.520 0.859 0.980
48 Ca 0.543 0.127 0.473
49 O 0.176 0.253 0.803
50 O 0.994 0.379 0.281
51 Ca 0.955 0.875 0.996
52 O 0.893 0.730 0.408
53 O 0.752 0.376 0.972
54 Ca 0.733 0.866 0.747
55 O 0.353 0.763 0.641
56 O 0.651 0.729 0.858
57 O 0.097 0.475 0.617
58 Mn 0.740 0.996 0.497
59 O 0.661 0.229 0.858
60 O 0.860 0.977 0.149
61 Mn 0.515 0.248 0.752
62 Mn 0.254 0.521 0.010
63 O 0.147 0.006 0.362
64 O 0.295 0.331 0.021
65 O 0.584 0.993 0.574
66 O 0.595 0.990 0.077
67 O 0.404 0.201 0.351
68 O 0.624 0.530 0.363
69 Mn 0.261 0.751 0.977
70 O 0.907 0.242 0.413
71 O 0.744 0.625 0.545
72 O 0.222 0.652 0.060
73 Ca 0.222 0.109 0.733
74 O 0.593 0.255 0.098
75 Mn 0.753 0.504 0.001
76 O 0.346 0.997 0.657
77 O 0.863 0.487 0.145
78 Mn 0.997 0.501 0.754
79 O 0.405 0.702 0.366
80 Ca 0.781 0.621 0.256
81 O 0.994 0.125 0.228
82 O 0.579 0.252 0.587
83 Mn 0.990 0.993 0.755
84 O 0.459 0.875 0.288
85 Sr 0.243 0.386 0.244
86 Mn 0.238 0.497 0.510
87 O 0.514 0.873 0.775
88 O 0.148 0.251 0.318
89 O 0.096 0.980 0.621
90 Ca 0.268 0.629 0.737
91 Mn 0.996 0.258 0.765
92 Mn 0.510 0.496 0.244
93 O 0.158 0.747 0.338
94 O 0.985 0.626 0.718
95 O 0.149 0.508 0.357
96 O 0.397 0.182 0.863
97 O 0.106 0.971 0.112
98 Ca 0.966 0.870 0.515
99 Ca 0.535 0.621 0.972
100 O 0.006 0.627 0.216
101 O 0.002 0.128 0.736
102 O 0.746 0.872 0.462
103 O 0.853 0.481 0.644
104 O 0.857 0.268 0.154
105 Ca 0.551 0.126 0.984
106 Ca 0.500 0.380 0.512
107 Mn 0.743 0.503 0.503
108 Ca 0.958 0.391 0.504
109 O 0.629 0.021 0.335
110 Ca 0.755 0.863 0.254
111 O 0.484 0.375 0.763
112 O 0.004 0.871 0.292
113 Mn 0.505 0.994 0.728
114 O 0.390 0.514 0.900
115 O 0.750 0.125 0.534
116 Ca 0.772 0.623 0.756
117 Sr 0.510 0.385 0.987
118 O 0.410 0.731 0.899
119 Mn 0.517 0.752 0.263
120 Sr 0.231 0.121 0.246
121 O 0.746 0.627 0.040
122 Ca 0.530 0.630 0.513
123 Mn 0.997 0.750 0.750
124 Mn 0.503 0.747 0.748
125 O 0.851 0.772 0.647
126 Ca 0.220 0.871 0.731
127 Ca 0.233 0.880 0.279
128 Ca 0.985 0.116 0.012
129 O 0.363 0.517 0.161
130 Mn 0.507 0.985 0.223
131 O 0.860 0.274 0.656
132 O 0.892 0.518 0.390
133 O 0.658 0.725 0.351
134 O 0.111 0.481 0.106
135 O 0.640 0.514 0.857
136 O 0.016 0.380 0.800
137 Sr 0.995 0.113 0.513
138 O 0.869 0.771 0.143
139 O 0.197 0.147 0.030
140 Ca 0.772 0.117 0.248
141 O 0.295 0.875 0.000
142 Mn 0.759 0.250 0.004
143 Ti 0.266 0.231 0.941
144 Mn 0.269 0.247 0.465
145 O 0.758 0.123 0.037
146 Ca 0.487 0.864 0.508
147 O 0.362 0.019 0.136
148 Ca 0.005 0.623 0.512

Properties
Magnetic moment ... 108.0 μB per cell
SG ... P1

Relative calculated energies, zero for the most stable structure, unit meV per atom: version P 0; version Q 10.